Record 1
Here is an optimized crystal structure of Cs4CO4 from Materials Project. Energies are from PBE-GGA.

Summary:
As for the total energy after the MP2020 corrections: -5.17 eV/atom. The total energy is -0.3573 Ry per atom. The value obtained for the formation energy is -1.545 eV/atom. As for the energy above the lowest structure with this stoichiometry: 0.18 eV/f.u. As for the total moment: 0.000 Bohr magnetons per cell. As for the volume: 25.53 Å³/atom.

The structure in CIF format:
```
data_Cs4CO4
_cell_length_a 6.939
_cell_length_b 6.939
_cell_length_c 6.602
_cell_angle_alpha 68.70
_cell_angle_beta 68.70
_cell_angle_gamma 52.22
_space_group_name_H-M_alt 'P 1'
_space_group_IT_number 1
_space_group_name_Hall 'P 1'
loop_
_atom_site_label
_atom_site_fract_x
_atom_site_fract_y
_atom_site_fract_z
Cs1 0.839 0.442 0.102
Cs2 0.158 0.567 0.432
Cs3 0.558 0.161 0.898
Cs4 0.433 0.842 0.568
C1 0.074 0.926 0.000
O1 0.866 0.994 0.184
O2 0.006 0.134 0.816
O3 0.133 0.716 0.938
O4 0.284 0.867 0.062
```

***

Record 2
Here is an optimized crystal structure of Cs4CO4 from Materials Project. Energies are from PBE-GGA.

Summary:
As for the total energy after the MP2020 corrections: -5.19 eV/atom. The total energy is -0.3588 Ry per atom. The value obtained for the formation energy is -1.564 eV/atom. As for the energy above the lowest structure with this stoichiometry: 0.00 eV/f.u. As for the total moment: 0.001 Bohr magnetons per cell. As for the volume: 28.36 Å³/atom.

The structure in CIF format:
```
data_Cs4CO4
_cell_length_a 7.273
_cell_length_b 7.273
_cell_length_c 7.617
_cell_angle_alpha 73.41
_cell_angle_beta 73.41
_cell_angle_gamma 41.71
_space_group_name_H-M_alt 'P 1'
_space_group_IT_number 1
_space_group_name_Hall 'P 1'
loop_
_atom_site_label
_atom_site_fract_x
_atom_site_fract_y
_atom_site_fract_z
Cs1 0.455 0.773 0.182
Cs2 0.802 0.489 0.634
Cs3 0.511 0.198 0.366
Cs4 0.227 0.545 0.818
C1 0.998 0.002 0.500
O1 0.230 0.912 0.560
O2 0.782 0.101 0.650
O3 0.088 0.770 0.440
O4 0.899 0.218 0.350
```

***

Record 3
Here is an optimized crystal structure of CsPrC2O6 from Materials Project. Energies are from PBE-GGA.

Summary:
As for the total energy after the MP2020 corrections: -7.92 eV/atom. The total energy is -0.5519 Ry per atom. The value obtained for the formation energy is -2.539 eV/atom. As for the total moment: 0.000 Bohr magnetons per cell. As for the volume: 15.68 Å³/atom.

The structure in CIF format:
```
data_CsPrC2O6
_cell_length_a 8.715
_cell_length_b 9.040
_cell_length_c 9.043
_cell_angle_alpha 98.94
_cell_angle_beta 114.65
_cell_angle_gamma 96.32
_space_group_name_H-M_alt 'P 1'
_space_group_IT_number 1
_space_group_name_Hall 'P 1'
loop_
_atom_site_label
_atom_site_fract_x
_atom_site_fract_y
_atom_site_fract_z
Cs1 0.755 0.970 0.969
Cs2 0.245 0.030 0.031
Cs3 0.759 0.473 0.810
Cs4 0.241 0.527 0.190
Pr1 0.740 0.952 0.478
Pr2 0.260 0.048 0.522
Pr3 0.759 0.459 0.285
Pr4 0.241 0.541 0.715
C1 0.030 0.290 0.295
C2 0.970 0.710 0.705
C3 0.459 0.258 0.858
C4 0.003 0.212 0.726
C5 0.997 0.788 0.274
C6 0.541 0.742 0.142
C7 0.418 0.768 0.604
C8 0.582 0.232 0.396
O1 0.065 0.400 0.425
O2 0.503 0.126 0.436
O3 0.277 0.791 0.617
O4 0.723 0.209 0.383
O5 0.529 0.356 0.366
O6 0.471 0.644 0.634
O7 0.935 0.600 0.575
O8 0.497 0.874 0.564
O9 0.957 0.882 0.372
O10 0.043 0.118 0.628
O11 0.865 0.164 0.741
O12 0.135 0.836 0.259
O13 0.905 0.653 0.197
O14 0.095 0.347 0.803
O15 0.099 0.705 0.843
O16 0.881 0.815 0.695
O17 0.397 0.321 0.728
O18 0.603 0.679 0.272
O19 0.438 0.111 0.828
O20 0.562 0.889 0.172
O21 0.462 0.659 0.993
O22 0.538 0.341 0.007
O23 0.119 0.185 0.305
O24 0.901 0.295 0.157
```

***

Record 4
Here is an optimized crystal structure of Cs2PtC2 from Materials Project. Energies are from PBE-GGA.

Summary:
The total energy is -0.3912 Ry per atom. The value obtained for the formation energy is -0.058 eV/atom. As for the volume: 30.19 Å³/atom.

The structure in CIF format:
```
data_Cs2PtC2
_cell_length_a 5.258
_cell_length_b 5.757
_cell_length_c 5.757
_cell_angle_alpha 60.00
_cell_angle_beta 90.00
_cell_angle_gamma 90.00
_space_group_name_H-M_alt 'P 1'
_space_group_IT_number 1
_space_group_name_Hall 'P 1'
loop_
_atom_site_label
_atom_site_fract_x
_atom_site_fract_y
_atom_site_fract_z
Cs1 0.731 0.667 0.667
Cs2 0.269 0.333 0.333
Pt1 0.000 0.000 0.000
C1 0.621 0.000 0.000
C2 0.379 0.000 0.000
```

***

Record 5
Here is an optimized crystal structure of CsRbC2 from Materials Project. Energies are from PBE-GGA.

Summary:
The total energy is -0.3498 Ry per atom. The value obtained for the formation energy is 0.324 eV/atom. As for the total moment: 0.001 Bohr magnetons per cell. As for the volume: 30.77 Å³/atom.

The structure in CIF format:
```
data_CsRbC2
_cell_length_a 6.124
_cell_length_b 8.442
_cell_length_c 9.523
_cell_angle_alpha 90.00
_cell_angle_beta 90.00
_cell_angle_gamma 90.00
_space_group_name_H-M_alt 'P 1'
_space_group_IT_number 1
_space_group_name_Hall 'P 1'
loop_
_atom_site_label
_atom_site_fract_x
_atom_site_fract_y
_atom_site_fract_z
Cs1 0.250 0.487 0.822
Cs2 0.250 0.987 0.678
Cs3 0.750 0.513 0.178
Cs4 0.750 0.013 0.322
Rb1 0.250 0.854 0.090
Rb2 0.250 0.354 0.410
Rb3 0.750 0.146 0.910
Rb4 0.750 0.646 0.590
C1 0.146 0.228 0.102
C2 0.354 0.728 0.398
C3 0.646 0.772 0.898
C4 0.854 0.272 0.602
C5 0.854 0.772 0.898
C6 0.646 0.272 0.602
C7 0.354 0.228 0.102
C8 0.146 0.728 0.398
```

***

Record 6
Here is an optimized crystal structure of KCuCO3F from Materials Project. Energies are from PBE-GGA.

Summary:
As for the total energy after the MP2020 corrections: -6.35 eV/atom. The total energy is -0.4403 Ry per atom. The value obtained for the formation energy is -1.894 eV/atom. As for the total moment: 0.519 Bohr magnetons per cell. As for the volume: 13.52 Å³/atom.

The structure in CIF format:
```
data_KCuCO3F
_cell_length_a 4.066
_cell_length_b 5.148
_cell_length_c 9.043
_cell_angle_alpha 90.00
_cell_angle_beta 90.00
_cell_angle_gamma 90.00
_space_group_name_H-M_alt 'P 1'
_space_group_IT_number 1
_space_group_name_Hall 'P 1'
loop_
_atom_site_label
_atom_site_fract_x
_atom_site_fract_y
_atom_site_fract_z
K1 0.500 0.710 0.077
K2 0.500 0.290 0.577
Cu1 0.000 0.791 0.732
Cu2 0.000 0.209 0.232
C1 0.000 0.784 0.414
C2 0.000 0.216 0.914
O1 0.000 0.330 0.789
O2 0.000 0.039 0.424
O3 0.000 0.648 0.535
O4 0.000 0.670 0.289
O5 0.000 0.352 0.035
O6 0.000 0.961 0.924
F1 0.500 0.804 0.729
F2 0.500 0.196 0.229
```

***

Record 7
Here is an optimized crystal structure of LiCuCO3F from Materials Project. Energies are from PBE-GGA.

Summary:
As for the total energy after the MP2020 corrections: -6.40 eV/atom. The total energy is -0.4435 Ry per atom. The value obtained for the formation energy is -1.824 eV/atom. As for the total moment: 1.996 Bohr magnetons per cell. As for the volume: 11.19 Å³/atom.

The structure in CIF format:
```
data_LiCuCO3F
_cell_length_a 3.687
_cell_length_b 4.784
_cell_length_c 8.881
_cell_angle_alpha 90.00
_cell_angle_beta 90.00
_cell_angle_gamma 90.00
_space_group_name_H-M_alt 'P 1'
_space_group_IT_number 1
_space_group_name_Hall 'P 1'
loop_
_atom_site_label
_atom_site_fract_x
_atom_site_fract_y
_atom_site_fract_z
Li1 0.500 0.243 0.599
Li2 0.500 0.757 0.099
Cu1 0.000 0.236 0.237
Cu2 0.000 0.764 0.737
C1 0.000 0.777 0.417
C2 0.000 0.223 0.917
O1 0.000 0.389 0.032
O2 0.000 0.048 0.436
O3 0.000 0.673 0.283
O4 0.000 0.611 0.532
O5 0.000 0.327 0.783
O6 0.000 0.952 0.936
F1 0.500 0.100 0.198
F2 0.500 0.900 0.698
```

***

Record 8
Here is an optimized crystal structure of MgCuC2S2O6F6 from Materials Project. Energies are from PBE-GGA.

Summary:
As for the total energy after the MP2020 corrections: -5.60 eV/atom. The total energy is -0.3838 Ry per atom. The value obtained for the formation energy is -1.516 eV/atom. As for the total moment: 0.488 Bohr magnetons per cell. As for the volume: 15.73 Å³/atom.

The structure in CIF format:
```
data_MgCuC2S2O6F6
_cell_length_a 5.027
_cell_length_b 5.268
_cell_length_c 12.388
_cell_angle_alpha 88.65
_cell_angle_beta 77.71
_cell_angle_gamma 62.46
_space_group_name_H-M_alt 'P 1'
_space_group_IT_number 1
_space_group_name_Hall 'P 1'
loop_
_atom_site_label
_atom_site_fract_x
_atom_site_fract_y
_atom_site_fract_z
Mg1 0.500 0.000 0.500
Cu1 0.500 0.500 0.000
C1 0.039 0.707 0.711
C2 0.961 0.293 0.289
S1 0.063 0.228 0.133
S2 0.937 0.772 0.867
O1 0.104 0.940 0.116
O2 0.896 0.060 0.884
O3 0.207 0.538 0.896
O4 0.656 0.741 0.895
O5 0.793 0.462 0.104
O6 0.344 0.259 0.105
F1 0.666 0.340 0.333
F2 0.334 0.660 0.667
F3 0.849 0.941 0.664
F4 0.017 0.477 0.676
F5 0.151 0.059 0.336
F6 0.983 0.523 0.324
```